(1)
## LiReO3 (PBE-GGA)

Data for a geometry-optimized LiReO3 structure.

a = 5.427 Å, b = 5.427 Å, c = 5.427 Å
α = 56.54°, β = 56.54°, γ = 56.54°
Fractional positions:
O1 0.641 0.260 0.867
O2 0.260 0.867 0.641
O3 0.141 0.367 0.760
O4 0.867 0.641 0.260
O5 0.367 0.760 0.141
O6 0.760 0.141 0.367
Li1 0.718 0.718 0.718
Li2 0.218 0.218 0.218
Re1 0.503 0.503 0.503
Re2 0.003 0.003 0.003

Summary:
The energy of formation from the pure elements is -10.53 eV per formula unit. As for the symmetry: R3c.

(2)
## BaEuNbSbO6 (PBE-GGA)

Data for a geometry-optimized BaEuNbSbO6 structure.

a = 8.607 Å, b = 8.689 Å, c = 8.588 Å
α = 90.00°, β = 90.00°, γ = 90.00°
Fractional positions:
Eu1 0.000 0.500 0.000
Eu2 0.500 0.000 0.000
Eu3 0.000 0.000 0.500
Eu4 0.000 0.500 0.500
O1 0.783 0.720 0.983
O2 0.481 0.277 0.775
O3 0.275 0.775 0.483
O4 0.218 0.485 0.717
O5 0.279 0.983 0.217
O6 0.721 0.983 0.783
O7 0.217 0.720 0.017
O8 0.985 0.218 0.281
O9 0.481 0.723 0.225
O10 0.783 0.280 0.017
O11 0.519 0.723 0.775
O12 0.218 0.515 0.283
O13 0.985 0.782 0.719
O14 0.275 0.225 0.517
O15 0.279 0.017 0.783
O16 0.015 0.782 0.281
O17 0.721 0.017 0.217
O18 0.217 0.280 0.983
O19 0.015 0.218 0.719
O20 0.519 0.277 0.225
O21 0.782 0.485 0.283
O22 0.725 0.775 0.517
O23 0.725 0.225 0.483
O24 0.782 0.515 0.717
Nb1 0.250 0.752 0.250
Nb2 0.250 0.248 0.750
Nb3 0.750 0.752 0.750
Nb4 0.750 0.248 0.250
Ba1 0.500 0.500 0.000
Ba2 0.500 0.000 0.500
Ba3 0.500 0.500 0.500
Ba4 0.000 0.000 0.000
Sb1 0.752 0.750 0.250
Sb2 0.752 0.250 0.750
Sb3 0.248 0.750 0.750
Sb4 0.248 0.250 0.250

Summary:
The energy of formation from the pure elements is -27.69 eV per formula unit. As for the symmetry: P222. The distance to the lowest polymorph of the same formula is 0.031 eV/atom.

(3)
## TlCdI3 (PBE-GGA)

Data for a geometry-optimized TlCdI3 structure.

a = 4.497 Å, b = 10.396 Å, c = 16.638 Å
α = 90.00°, β = 90.00°, γ = 90.00°
Fractional positions:
Tl1 0.250 0.453 0.175
Tl2 0.750 0.547 0.825
Tl3 0.750 0.047 0.675
Tl4 0.250 0.953 0.325
I1 0.750 0.336 0.010
I2 0.250 0.790 0.712
I3 0.750 0.981 0.895
I4 0.750 0.481 0.605
I5 0.750 0.710 0.212
I6 0.250 0.664 0.990
I7 0.250 0.019 0.105
I8 0.250 0.164 0.510
I9 0.250 0.290 0.788
I10 0.750 0.210 0.288
I11 0.250 0.519 0.395
I12 0.750 0.836 0.490
Cd1 0.750 0.832 0.054
Cd2 0.250 0.168 0.946
Cd3 0.750 0.332 0.446
Cd4 0.250 0.668 0.554

Summary:
The energy of formation from the pure elements is -4.18 eV per formula unit. As for the symmetry: Pnma.

(4)
## Dy5CoSb2 (PBE-GGA)

Data for a geometry-optimized Dy5CoSb2 structure.

a = 7.912 Å, b = 8.742 Å, c = 12.236 Å
α = 90.00°, β = 90.00°, γ = 90.00°
Fractional positions:
Dy1 0.452 0.750 0.998
Dy2 0.844 0.250 0.797
Dy3 0.179 0.036 0.935
Dy4 0.679 0.964 0.565
Dy5 0.821 0.536 0.065
Dy6 0.619 0.750 0.307
Dy7 0.179 0.464 0.935
Dy8 0.156 0.750 0.203
Dy9 0.952 0.250 0.502
Dy10 0.321 0.464 0.435
Dy11 0.656 0.250 0.297
Dy12 0.381 0.250 0.693
Dy13 0.679 0.536 0.565
Dy14 0.821 0.964 0.065
Dy15 0.048 0.750 0.498
Dy16 0.881 0.750 0.807
Dy17 0.344 0.750 0.703
Dy18 0.548 0.250 0.002
Dy19 0.321 0.036 0.435
Dy20 0.119 0.250 0.193
Co1 0.568 0.250 0.509
Co2 0.068 0.750 0.991
Co3 0.432 0.750 0.491
Co4 0.932 0.250 0.009
Sb1 0.571 0.990 0.827
Sb2 0.429 0.490 0.173
Sb3 0.929 0.990 0.327
Sb4 0.929 0.510 0.327
Sb5 0.429 0.010 0.173
Sb6 0.071 0.490 0.673
Sb7 0.071 0.010 0.673
Sb8 0.571 0.510 0.827

Summary:
The energy of formation from the pure elements is -6.03 eV per formula unit. As for the symmetry: Pnma.

(5)
## BiTe (PBE-GGA)

Data for a geometry-optimized BiTe structure.

a = 4.339 Å, b = 4.339 Å, c = 4.339 Å
α = 67.88°, β = 67.88°, γ = 67.88°
Fractional positions:
Te1 0.000 0.000 0.000
Bi1 0.500 0.500 0.500

Summary:
The energy of formation from the pure elements is -0.59 eV per formula unit. As for the symmetry: R-3m. The distance to the lowest polymorph of the same formula is 0.113 eV/atom.

(6)
## Ca3Hf3AgF20 (PBE-GGA)

Data for a geometry-optimized Ca3Hf3AgF20 structure.

a = 10.699 Å, b = 10.699 Å, c = 8.504 Å
α = 90.00°, β = 90.00°, γ = 120.00°
Fractional positions:
F1 0.333 0.667 0.250
F2 0.764 0.967 0.250
F3 0.717 0.941 0.750
F4 0.667 0.333 0.750
F5 0.551 0.185 0.250
F6 0.855 0.575 0.484
F7 0.283 0.059 0.250
F8 0.033 0.797 0.250
F9 0.797 0.764 0.750
F10 0.203 0.236 0.250
F11 0.425 0.280 0.484
F12 0.236 0.033 0.750
F13 0.855 0.575 0.016
F14 0.059 0.776 0.750
F15 0.224 0.283 0.750
F16 0.815 0.366 0.250
F17 0.185 0.634 0.750
F18 0.414 0.470 0.250
F19 0.280 0.855 0.516
F20 0.145 0.425 0.516
F21 0.575 0.720 0.516
F22 0.967 0.203 0.750
F23 0.280 0.855 0.984
F24 0.000 0.000 0.500
F25 0.776 0.717 0.250
F26 0.944 0.414 0.750
F27 0.586 0.530 0.750
F28 0.449 0.815 0.750
F29 0.941 0.224 0.250
F30 0.720 0.145 0.016
F31 0.575 0.720 0.984
F32 0.056 0.586 0.250
F33 0.530 0.944 0.250
F34 0.720 0.145 0.484
F35 0.425 0.280 0.016
F36 0.000 0.000 0.000
F37 0.366 0.551 0.750
F38 0.145 0.425 0.984
F39 0.470 0.056 0.750
F40 0.634 0.449 0.250
Hf1 0.139 0.416 0.750
Hf2 0.584 0.723 0.750
Hf3 0.277 0.861 0.750
Hf4 0.861 0.584 0.250
Hf5 0.723 0.139 0.250
Hf6 0.416 0.277 0.250
Ca1 0.566 0.728 0.250
Ca2 0.838 0.566 0.750
Ca3 0.272 0.838 0.250
Ca4 0.162 0.434 0.250
Ca5 0.434 0.272 0.750
Ca6 0.728 0.162 0.750
Ag1 0.000 0.000 0.750
Ag2 0.000 0.000 0.250

Summary:
The energy of formation from the pure elements is -105.62 eV per formula unit. As for the symmetry: P6_3/m.

(7)
## Ti5MnSn3 (PBE-GGA)

Data for a geometry-optimized Ti5MnSn3 structure.

a = 8.252 Å, b = 8.252 Å, c = 5.486 Å
α = 90.00°, β = 90.00°, γ = 120.00°
Fractional positions:
Mn1 0.000 0.000 0.000
Mn2 0.000 0.000 0.500
Ti1 0.667 0.333 0.000
Ti2 0.333 0.667 0.500
Ti3 0.754 0.000 0.250
Ti4 0.246 0.000 0.750
Ti5 0.333 0.667 0.000
Ti6 0.754 0.754 0.750
Ti7 0.667 0.333 0.500
Ti8 0.000 0.754 0.250
Ti9 0.000 0.246 0.750
Ti10 0.246 0.246 0.250
Sn1 0.000 0.395 0.250
Sn2 0.605 0.605 0.250
Sn3 0.605 0.000 0.750
Sn4 0.395 0.000 0.250
Sn5 0.395 0.395 0.750
Sn6 0.000 0.605 0.750

Summary:
The energy of formation from the pure elements is -3.00 eV per formula unit. As for the symmetry: P6_3/mcm.

(8)
## Mg2CoH5 (PBE-GGA)

Data for a geometry-optimized Mg2CoH5 structure.

a = 4.451 Å, b = 4.451 Å, c = 6.547 Å
α = 90.00°, β = 90.00°, γ = 90.00°
Fractional positions:
H1 0.500 0.000 0.496
H2 0.241 0.259 0.774
H3 0.741 0.241 0.226
H4 0.759 0.741 0.774
H5 0.259 0.241 0.226
H6 0.000 0.500 0.504
H7 0.241 0.741 0.774
H8 0.741 0.759 0.226
H9 0.259 0.759 0.226
H10 0.759 0.259 0.774
Co1 0.000 0.500 0.743
Co2 0.500 0.000 0.257
Mg1 0.500 0.500 0.000
Mg2 0.500 0.500 0.500
Mg3 0.000 0.000 0.000
Mg4 0.000 0.000 0.500

Summary:
The energy of formation from the pure elements is -2.93 eV per formula unit. As for the symmetry: P4/nmm.